This record from the Materials Project database describes crystalline Re3Mo at its relaxed geometry. The functional is PBE.

a = 4.8209 Å, b = 4.8209 Å, c = 4.8209 Å
α = 131.60°, β = 131.60°, γ = 70.86°
With the nearest neighbours (Å) after each atom.
Atoms (fractional coordinates):
Re 0.0000 0.0000 0.0000  8 Re 2.79, 4 Mo 2.79
Re 0.2500 0.7500 0.5000  4 Mo 2.79, 8 Re 2.79
Re 0.7500 0.2500 0.5000  4 Mo 2.79, 8 Re 2.79
Mo 0.5000 0.5000 0.0000  12 Re 2.79

- excess energy over the best structure of this formula in the dataset (meV/atom) = 5
- crystal system = tetragonal
- magnetic moment (μB per atom) = 0.00
- ΔH_f (0 K) (eV per atom) = 0.122